Below is a relaxed Li9Mn2Co5O16 crystal, with properties calculated at the PBE+U level.

The structure in extended XYZ format:
```
32
Lattice="2.896 0.000 0.000 0.000 9.803 0.000 0.000 1.609 10.178" Properties=species:S:1:pos:R:3 pbc="T T T"
O 0.000 1.537 3.138
O 1.448 1.208 0.508
O 0.000 5.326 9.461
O 0.000 6.140 0.565
O 0.000 9.844 7.034
O 1.448 6.571 3.115
O 0.000 9.104 1.827
O 1.448 4.914 7.085
O 1.448 9.363 4.491
O 1.448 4.059 1.858
O 0.000 6.964 5.917
O 1.448 2.047 5.683
O 0.000 4.386 4.335
O 0.000 2.342 8.364
O 1.448 10.221 9.674
O 1.448 7.303 8.232
Co 1.448 4.916 0.052
Co 1.448 10.183 2.570
Co 0.000 10.593 5.102
Co 1.448 1.226 7.607
Co 0.000 5.260 2.757
Li 1.448 5.742 5.090
Li 1.448 8.263 6.311
Li 1.448 3.117 3.830
Li 1.448 3.965 8.887
Li 0.000 7.819 3.952
Li 0.000 2.750 1.321
Li 1.448 7.404 1.318
Li 0.000 8.709 8.899
Li 0.000 3.560 6.143
Mn 0.000 1.621 10.173
Mn 0.000 6.129 7.553
```

SG   Pm (6)
Formation energy from the elements   -1.817 eV per atom
Energy relative to the lowest polymorph listed for this composition   47 meV/atom
Theoretical density   4.154 Mg/m³

---

Below is a relaxed W11O12 crystal, with properties calculated at the PBE+U level.

The structure in extended XYZ format:
```
23
Lattice="0.000 0.000 -4.352 0.000 -6.564 0.000 -12.857 3.282 0.000" Properties=species:S:1:pos:R:3 pbc="T T T"
W -8.436 0.000 -0.570
W 0.000 0.000 -0.296
W -6.917 -3.282 -1.889
W -9.360 -3.282 -0.334
W -11.184 1.543 -2.457
W -4.421 -3.282 -0.570
W -3.497 0.000 -0.334
W -11.184 -1.543 -2.457
W -5.940 0.000 -1.889
W -1.673 -4.825 -2.457
W -1.673 -1.740 -2.457
O 0.000 -3.282 -2.449
O 0.000 0.000 -2.477
O -3.090 -3.282 -2.281
O -2.985 0.000 -2.517
O -9.767 0.000 -2.281
O -9.872 -3.282 -2.517
O -1.686 -5.174 -0.280
O -6.428 -1.641 -2.820
O -1.686 -1.390 -0.280
O -6.428 1.641 -2.820
O -11.171 -1.892 -0.280
O -11.171 1.892 -0.280
```

SG   Cmm2 (35)
Formation energy from the elements   -0.340 eV per atom
Theoretical density   10.010 Mg/m³